Record 1
PBE Ho2Mo2C3, relaxed; SG = No. 12; crystal system = monoclinic; mass density = 8.964 g cm⁻³; DFT formation energy = -0.3642 eV/atom; energy relative to the lowest polymorph listed for this composition = 0 meV per atom
1.0
1.670 5.852 0.000
-1.670 5.852 0.000
0.000 2.155 5.288
Ho Mo C
2 2 3
Direct
0.390 0.390 0.826
0.610 0.610 0.174
0.157 0.157 0.674
0.843 0.843 0.326
0.752 0.752 0.734
0.248 0.248 0.266
0.000 0.000 0.000

Record 2
PBE Ho2Mo2C3, relaxed; SG = No. 12; crystal system = monoclinic; mass density = 8.926 g cm⁻³; DFT formation energy = -0.3326 eV/atom; energy relative to the lowest polymorph listed for this composition = 32 meV per atom
1.0
1.693 5.670 0.000
-1.693 5.670 0.000
0.000 1.780 5.406
Ho Mo C
2 2 3
Direct
0.386 0.386 0.819
0.614 0.614 0.181
0.149 0.149 0.627
0.851 0.851 0.373
0.000 0.000 0.500
0.729 0.729 0.743
0.271 0.271 0.257

Record 3
PBE Ho2Si4CN6, relaxed; SG = No. 14; crystal system = monoclinic; mass density = 5.822 g cm⁻³; DFT formation energy = -1.3804 eV/atom
1.0
9.985 0.000 0.000
0.000 5.938 0.000
0.000 5.890 10.356
Ho Si C N
8 16 4 24
Direct
0.912 0.346 0.917
0.412 0.654 0.583
0.088 0.654 0.083
0.588 0.346 0.417
0.069 0.672 0.594
0.569 0.328 0.906
0.931 0.328 0.406
0.431 0.672 0.094
0.726 0.322 0.659
0.226 0.678 0.841
0.274 0.678 0.341
0.774 0.322 0.159
0.705 0.799 0.676
0.205 0.201 0.824
0.295 0.201 0.324
0.795 0.799 0.176
0.712 0.836 0.921
0.212 0.164 0.579
0.288 0.164 0.079
0.788 0.836 0.421
0.979 0.996 0.750
0.479 0.004 0.750
0.021 0.004 0.250
0.521 0.996 0.250
0.791 0.976 0.753
0.291 0.024 0.747
0.209 0.024 0.247
0.709 0.976 0.253
0.553 0.298 0.636
0.053 0.702 0.864
0.447 0.702 0.364
0.947 0.298 0.136
0.762 0.480 0.746
0.262 0.520 0.754
0.238 0.520 0.254
0.738 0.480 0.246
0.789 0.495 0.501
0.289 0.505 0.999
0.211 0.505 0.499
0.711 0.495 0.001
0.535 0.755 0.723
0.035 0.245 0.777
0.465 0.245 0.277
0.965 0.755 0.223
0.544 0.940 0.899
0.044 0.060 0.601
0.456 0.060 0.101
0.956 0.940 0.399
0.786 0.964 0.009
0.286 0.036 0.491
0.214 0.036 0.991
0.714 0.964 0.509

Record 4
PBE Na2HoPCO7, relaxed; SG = No. 11; crystal system = monoclinic; mass density = 3.604 g cm⁻³; DFT formation energy = -2.7686 eV/atom
1.0
6.978 0.000 0.000
0.000 5.241 0.000
0.000 0.154 9.221
Na Ho P C O
4 2 2 2 14
Direct
0.499 0.232 0.788
0.001 0.232 0.788
0.501 0.768 0.212
0.999 0.768 0.212
0.750 0.776 0.633
0.250 0.224 0.367
0.250 0.705 0.582
0.750 0.295 0.418
0.750 0.732 0.930
0.250 0.268 0.070
0.250 0.299 0.934
0.750 0.957 0.865
0.750 0.536 0.840
0.068 0.810 0.656
0.432 0.810 0.656
0.750 0.211 0.583
0.250 0.407 0.587
0.750 0.593 0.413
0.250 0.789 0.417
0.568 0.190 0.344
0.932 0.190 0.344
0.250 0.464 0.160
0.250 0.043 0.135
0.750 0.701 0.066

Record 5
PBE Ho2Ni22C3, relaxed; SG = No. 64; crystal system = orthorhombic; mass density = 9.006 g cm⁻³; DFT formation energy = -0.1282 eV/atom
1.0
-5.654 -7.454 0.000
-5.654 7.454 0.000
0.000 0.000 -14.501
Ho Ni C
8 88 12
Direct
0.815 0.685 0.250
0.685 0.815 0.750
0.185 0.315 0.750
0.315 0.185 0.250
0.707 0.293 0.528
0.293 0.707 0.472
0.793 0.207 0.028
0.207 0.793 0.972
0.929 0.430 0.181
0.430 0.929 0.819
0.930 0.429 0.681
0.429 0.930 0.319
0.071 0.570 0.819
0.570 0.071 0.181
0.070 0.571 0.319
0.571 0.070 0.681
0.561 0.439 0.342
0.439 0.561 0.658
0.939 0.061 0.842
0.061 0.939 0.158
0.009 0.769 0.421
0.769 0.009 0.579
0.269 0.509 0.921
0.509 0.269 0.079
0.991 0.231 0.579
0.231 0.991 0.421
0.731 0.491 0.079
0.491 0.731 0.921
0.752 0.598 0.450
0.598 0.752 0.550
0.098 0.252 0.950
0.252 0.098 0.050
0.248 0.402 0.550
0.402 0.248 0.450
0.902 0.748 0.050
0.748 0.902 0.950
0.141 0.212 0.427
0.212 0.141 0.573
0.712 0.641 0.927
0.641 0.712 0.073
0.859 0.788 0.573
0.788 0.859 0.427
0.288 0.359 0.073
0.359 0.288 0.927
0.821 0.396 0.344
0.396 0.821 0.656
0.896 0.321 0.844
0.321 0.896 0.156
0.179 0.604 0.656
0.604 0.179 0.344
0.104 0.679 0.156
0.679 0.104 0.844
0.949 0.797 0.870
0.797 0.949 0.130
0.297 0.449 0.370
0.449 0.297 0.630
0.051 0.203 0.130
0.203 0.051 0.870
0.703 0.551 0.630
0.551 0.703 0.370
0.046 0.293 0.298
0.293 0.046 0.702
0.793 0.546 0.798
0.546 0.793 0.202
0.954 0.707 0.702
0.707 0.954 0.298
0.207 0.454 0.202
0.454 0.207 0.798
0.819 0.181 0.233
0.181 0.819 0.767
0.681 0.319 0.733
0.319 0.681 0.267
0.855 0.145 0.414
0.145 0.855 0.586
0.645 0.355 0.914
0.355 0.645 0.086
0.998 0.002 0.325
0.002 0.998 0.675
0.502 0.498 0.825
0.498 0.502 0.175
0.658 0.342 0.212
0.342 0.658 0.788
0.842 0.158 0.712
0.158 0.842 0.288
0.000 0.000 0.500
0.500 0.500 0.000
0.093 0.472 0.048
0.472 0.093 0.952
0.972 0.593 0.548
0.593 0.972 0.452
0.907 0.528 0.952
0.528 0.907 0.048
0.028 0.407 0.452
0.407 0.028 0.548
0.500 0.500 0.500
0.000 0.000 0.000
0.945 0.055 0.211
0.055 0.945 0.789
0.555 0.445 0.711
0.445 0.555 0.289
0.932 0.558 0.416
0.558 0.932 0.584
0.058 0.432 0.916
0.432 0.058 0.084
0.068 0.442 0.584
0.442 0.068 0.416
0.942 0.568 0.084
0.568 0.942 0.916

Record 6
PBE HoNiC2, relaxed; SG = No. 38; crystal system = orthorhombic; mass density = 8.535 g cm⁻³; DFT formation energy = -0.3401 eV/atom
1.0
2.256 -2.995 0.000
2.256 2.995 0.000
0.000 0.000 3.565
Ho Ni C
1 1 2
Direct
0.999 0.001 0.000
0.387 0.613 0.500
0.547 0.149 0.500
0.851 0.453 0.500

Record 7
PBE Ho11Ni60C6, relaxed; SG = No. 229; crystal system = cubic; mass density = 9.330 g cm⁻³; DFT formation energy = -0.2800 eV/atom
1.0
-6.220 6.220 6.220
6.220 -6.220 6.220
6.220 6.220 -6.220
Ho Ni C
11 60 6
Direct
0.000 0.000 0.337
0.000 0.337 0.000
0.337 0.000 0.000
0.663 0.663 0.663
0.000 0.000 0.663
0.000 0.663 0.000
0.663 0.000 0.000
0.337 0.337 0.337
0.500 0.500 0.000
0.500 0.000 0.500
0.000 0.500 0.500
0.000 0.767 0.419
0.233 0.233 0.652
0.767 0.000 0.419
0.000 0.419 0.767
0.767 0.419 0.000
0.233 0.652 0.233
0.652 0.233 0.233
0.419 0.767 0.000
0.419 0.000 0.767
0.348 0.581 0.581
0.581 0.581 0.348
0.581 0.348 0.581
0.000 0.233 0.581
0.767 0.767 0.348
0.233 0.000 0.581
0.000 0.581 0.233
0.233 0.581 0.000
0.767 0.348 0.767
0.348 0.767 0.767
0.581 0.233 0.000
0.581 0.000 0.233
0.652 0.419 0.419
0.419 0.419 0.652
0.419 0.652 0.419
0.148 0.320 0.468
0.680 0.828 0.148
0.172 0.852 0.320
0.852 0.172 0.320
0.320 0.148 0.468
0.828 0.680 0.148
0.852 0.320 0.172
0.320 0.468 0.148
0.828 0.148 0.680
0.148 0.468 0.320
0.680 0.148 0.828
0.172 0.320 0.852
0.148 0.680 0.828
0.320 0.172 0.852
0.468 0.148 0.320
0.148 0.828 0.680
0.320 0.852 0.172
0.468 0.320 0.148
0.852 0.680 0.532
0.680 0.532 0.852
0.532 0.852 0.680
0.852 0.532 0.680
0.680 0.852 0.532
0.532 0.680 0.852
0.857 0.857 0.000
0.143 0.000 0.143
0.000 0.143 0.143
0.143 0.143 0.000
0.857 0.000 0.857
0.000 0.857 0.857
0.750 0.250 0.500
0.750 0.500 0.250
0.500 0.250 0.750
0.250 0.500 0.750
0.250 0.750 0.500
0.500 0.750 0.250
0.710 0.710 0.000
0.290 0.000 0.290
0.000 0.290 0.290
0.290 0.290 0.000
0.710 0.000 0.710
0.000 0.710 0.710

Record 8
PBE HoCO4, relaxed; SG = No. 19; crystal system = orthorhombic; mass density = 5.244 g cm⁻³; DFT formation energy = -2.4877 eV/atom; energy relative to the lowest polymorph listed for this composition = 41 meV per atom
1.0
-4.624 0.631 1.310
-1.982 -5.098 -4.540
0.980 -6.064 6.381
Ho C O
4 4 16
Direct
0.528 0.625 0.661
0.972 0.375 0.161
0.472 0.125 0.839
0.028 0.875 0.339
0.509 0.546 0.330
0.991 0.454 0.830
0.491 0.046 0.170
0.009 0.954 0.670
0.468 0.812 0.856
0.032 0.188 0.356
0.532 0.312 0.644
0.968 0.688 0.144
0.044 0.553 0.713
0.456 0.447 0.213
0.956 0.053 0.787
0.544 0.947 0.287
0.269 0.927 0.633
0.231 0.073 0.133
0.731 0.427 0.867
0.769 0.573 0.367
0.823 0.882 0.582
0.677 0.118 0.082
0.177 0.382 0.918
0.323 0.618 0.418